No. 1
# SrP2Pt6 (PBE-GGA, optimized geometry)
# energy relative to the elements: -658 meV/atom
# E: -6.096 eV/atom
# calculated volume: 17.59 Å³ per atom
data_SrP2Pt6
_chemical_formula_sum 'Sr4 P8 Pt24'
_cell_length_a 8.5880
_cell_length_b 8.5880
_cell_length_c 8.5880
_cell_angle_alpha 90.00
_cell_angle_beta 90.00
_cell_angle_gamma 90.00
_space_group_name_H-M_alt 'P a -3'
_space_group_IT_number 205
_space_group_name_Hall '-P 2ac 2ab 3'
loop_
_atom_site_label
_atom_site_type_symbol
_atom_site_fract_x
_atom_site_fract_y
_atom_site_fract_z
Sr1 Sr 0.0000 0.0000 0.0000
P1 P 0.1937 0.6937 0.8063
Pt1 Pt 0.0789 0.1563 0.6571

---

No. 2
# K2LiRuF6 (PBE-GGA, optimized geometry)
# energy relative to the elements: -2657 meV/atom
# E: -4.869 eV/atom
# calculated volume: 13.82 Å³ per atom
data_K2LiRuF6
_chemical_formula_sum 'K8 Li4 Ru4 F24'
_cell_length_a 8.2069
_cell_length_b 8.2069
_cell_length_c 8.2069
_cell_angle_alpha 90.00
_cell_angle_beta 90.00
_cell_angle_gamma 90.00
_space_group_name_H-M_alt 'F m -3 m'
_space_group_IT_number 225
_space_group_name_Hall '-F 4 2 3'
loop_
_atom_site_label
_atom_site_type_symbol
_atom_site_fract_x
_atom_site_fract_y
_atom_site_fract_z
K1 K 0.2500 0.2500 0.2500
Li1 Li 0.0000 0.0000 0.0000
Ru1 Ru 0.0000 0.0000 0.5000
F1 F 0.0000 0.0000 0.2530

---

No. 3
# MgCd4Cu4As4H4O20 (PBE-GGA, optimized geometry)
# energy relative to the elements: -1436 meV/atom
# E: -5.196 eV/atom
# calculated volume: 12.31 Å³ per atom
data_MgCd4Cu4As4H4O20
_chemical_formula_sum 'Mg1 Cd4 Cu4 As4 H4 O20'
_cell_length_a 7.9411
_cell_length_b 6.0818
_cell_length_c 9.4305
_cell_angle_alpha 90.00
_cell_angle_beta 91.14
_cell_angle_gamma 90.00
_space_group_name_H-M_alt 'P 1 m 1'
_space_group_IT_number 6
loop_
_space_group_symop_operation_xyz
'x,y,z'
'x,-y,z'
loop_
_atom_site_label
_atom_site_type_symbol
_atom_site_fract_x
_atom_site_fract_y
_atom_site_fract_z
Mg1 Mg 0.0000 0.0000 0.0000
Cd1 Cd 0.2664 0.0000 0.2410
Cd2 Cd 0.5086 0.5000 0.5648
Cd3 Cd 0.6178 0.0000 0.0613
Cd4 Cd 0.9675 0.5000 0.6766
Cu1 Cu 0.3487 0.2647 0.8665
Cu2 Cu 0.8587 0.2440 0.3603
As1 As 0.2070 0.0000 0.5460
As2 As 0.4633 0.5000 0.2375
As3 As 0.7146 0.0000 0.7104
As4 As 0.9766 0.5000 0.0121
H1 H 0.0991 0.5000 0.4097
H2 H 0.1646 0.0000 0.8134
H3 H 0.6074 0.5000 0.8444
H4 H 0.6156 0.0000 0.3484
O1 O 0.0562 0.0000 0.4005
O2 O 0.1524 0.5000 0.9041
O3 O 0.1881 0.2322 0.6482
O4 O 0.2200 0.0000 0.9093
O5 O 0.3274 0.5000 0.3777
O6 O 0.3963 0.0000 0.4579
O7 O 0.4231 0.2660 0.1314
O8 O 0.4899 0.5000 0.8036
O9 O 0.5422 0.0000 0.8303
O10 O 0.6655 0.5000 0.3101
O11 O 0.7159 0.0000 0.2880
O12 O 0.7230 0.2353 0.6074
O13 O 0.8113 0.5000 0.8923
O14 O 0.8846 0.0000 0.8233
O15 O 0.9756 0.2641 0.1167
O16 O 0.9772 0.5000 0.4308

---

No. 4
# Cd5Au3 (PBE-GGA, optimized geometry)
# energy relative to the elements: -167 meV/atom
# E: -1.971 eV/atom
# calculated volume: 20.68 Å³ per atom
data_Cd5Au3
_chemical_formula_sum 'Cd20 Au12'
_cell_length_a 10.9796
_cell_length_b 10.9796
_cell_length_c 5.4884
_cell_angle_alpha 90.00
_cell_angle_beta 90.00
_cell_angle_gamma 90.00
_space_group_name_H-M_alt 'I 4/m c m'
_space_group_IT_number 140
_space_group_name_Hall '-I 4 2c'
loop_
_atom_site_label
_atom_site_type_symbol
_atom_site_fract_x
_atom_site_fract_y
_atom_site_fract_z
Cd1 Cd 0.0000 0.5000 0.2500
Cd2 Cd 0.0794 0.2247 0.0000
Au1 Au 0.0000 0.0000 0.2500
Au2 Au 0.1654 0.3346 0.5000

---

No. 5
# Ti21Re25 (PBE-GGA, optimized geometry)
# energy relative to the elements: -271 meV/atom
# E: -10.638 eV/atom
# calculated volume: 16.72 Å³ per atom
data_Ti21Re25
_chemical_formula_sum 'Ti126 Re150'
_cell_length_a 25.1091
_cell_length_b 25.1091
_cell_length_c 8.4531
_cell_angle_alpha 90.00
_cell_angle_beta 90.00
_cell_angle_gamma 120.00
_space_group_name_H-M_alt 'R -3 c'
_space_group_IT_number 167
_space_group_name_Hall '-R 3 2"c'
loop_
_atom_site_label
_atom_site_type_symbol
_atom_site_fract_x
_atom_site_fract_y
_atom_site_fract_z
Ti1 Ti 0.9998 0.1162 0.0708
Ti2 Ti 0.0000 0.3041 0.2500
Ti3 Ti 0.0021 0.2327 0.5481
Ti4 Ti 0.0209 0.4638 0.4196
Re1 Re 0.0000 0.0000 0.0000
Re2 Re 0.0000 0.0613 0.7500
Re3 Re 0.0000 0.4407 0.7500
Re4 Re 0.0580 0.2359 0.2575
Re5 Re 0.0590 0.1809 0.7475
Re6 Re 0.0958 0.5465 0.6670

---

No. 6
# La5S8 (PBE-GGA, optimized geometry)
# energy relative to the elements: -2183 meV/atom
# E: -6.317 eV/atom
# calculated volume: 34.33 Å³ per atom
data_La5S8
_chemical_formula_sum 'La20 S32'
_cell_length_a 12.1314
_cell_length_b 12.1314
_cell_length_c 12.1314
_cell_angle_alpha 90.00
_cell_angle_beta 90.00
_cell_angle_gamma 90.00
_space_group_name_H-M_alt 'F -4 3 m'
_space_group_IT_number 216
_space_group_name_Hall 'F -4 2 3'
loop_
_atom_site_label
_atom_site_type_symbol
_atom_site_fract_x
_atom_site_fract_y
_atom_site_fract_z
La1 La 0.0000 0.0000 0.0000
La2 La 0.1222 0.1222 0.6222
S1 S 0.1101 0.1101 0.3899
S2 S 0.1332 0.1332 0.8668

---

| no. | ρ (g/cm3) |
| --- | --- |
| 1 | 13.84 |
| 2 | 3.61 |
| 3 | 4.93 |
| 4 | 11.57 |
| 5 | 12.22 |
| 6 | 3.54 |